{
  "formula": "Mg6VCu",
  "functional": "PBE-GGA",
  "state": "relaxed",
  "cell": [[4.872, 0.000, 0.000], [0.000, 6.109, 0.000], [0.000, 0.000, 10.518]],
  "species": ["Mg", "Mg", "Mg", "Mg", "Mg", "Mg", "Mg", "Mg", "Mg", "Mg", "Mg", "Mg", "V", "V", "Cu", "Cu"],
  "fractional_positions": [[0.500, 0.247, 0.083], [0.500, 0.753, 0.083], [0.000, 0.250, 0.912], [0.000, 0.750, 0.912], [0.000, 0.500, 0.172], [0.000, 0.500, 0.672], [0.500, 0.747, 0.583], [0.500, 0.253, 0.583], [0.000, 0.750, 0.412], [0.000, 0.250, 0.412], [0.000, 0.000, 0.672], [0.000, 0.000, 0.172], [0.500, 0.500, 0.833], [0.500, 0.000, 0.333], [0.500, 0.500, 0.334], [0.500, 0.000, 0.834]],
  "e_form_ev_per_atom": 0.18,
  "total_magnetization_mub_per_fu": 3.12
}